# 1
An optimized crystal structure of Li2Ge7O15, computed with r2SCAN.

Calculated values
- M_tot (μB/f.u.) = 0.0
- symmetry = Pbcn
- electronic total energy (eV per atom) = -9.86
- DFT formation energy (meV/atom) = -1881.5

Cell: 7.388 9.740 16.786 Å, 90.00 90.00 90.00°
Positions (direct):
O (0.810, 0.347, 0.851)
O (0.310, 0.153, 0.351)
O (0.000, 0.250, 0.984)
O (0.356, 0.908, 0.918)
O (0.699, 0.064, 0.251)
O (0.199, 0.436, 0.751)
O (0.001, 0.096, 0.141)
O (0.793, 0.588, 0.588)
O (0.858, 0.333, 0.507)
O (0.690, 0.347, 0.351)
O (0.199, 0.936, 0.249)
O (0.862, 0.329, 0.670)
O (0.144, 0.408, 0.582)
O (0.862, 0.829, 0.330)
O (0.362, 0.171, 0.170)
O (0.362, 0.671, 0.830)
O (0.644, 0.592, 0.918)
O (0.642, 0.333, 0.007)
O (0.138, 0.171, 0.670)
O (0.810, 0.847, 0.149)
O (0.142, 0.667, 0.493)
O (0.638, 0.329, 0.170)
O (0.207, 0.912, 0.588)
O (0.144, 0.908, 0.418)
O (0.358, 0.667, 0.993)
O (0.358, 0.167, 0.007)
O (0.801, 0.564, 0.249)
O (0.356, 0.408, 0.082)
O (0.293, 0.912, 0.088)
O (0.190, 0.153, 0.851)
O (0.707, 0.088, 0.912)
O (0.801, 0.064, 0.751)
O (0.293, 0.412, 0.912)
O (0.142, 0.167, 0.507)
O (0.190, 0.653, 0.149)
O (0.638, 0.829, 0.830)
O (0.301, 0.436, 0.251)
O (0.699, 0.564, 0.749)
O (0.644, 0.092, 0.082)
O (0.500, 0.250, 0.484)
O (0.499, 0.596, 0.359)
O (0.501, 0.404, 0.641)
O (0.500, 0.750, 0.516)
O (0.999, 0.404, 0.141)
O (0.501, 0.904, 0.359)
O (0.690, 0.847, 0.649)
O (0.138, 0.671, 0.330)
O (0.856, 0.092, 0.582)
O (0.301, 0.936, 0.749)
O (0.642, 0.833, 0.993)
O (0.999, 0.904, 0.859)
O (0.858, 0.833, 0.493)
O (0.856, 0.592, 0.418)
O (0.499, 0.096, 0.641)
O (0.707, 0.588, 0.088)
O (0.793, 0.088, 0.412)
O (0.207, 0.412, 0.412)
O (0.310, 0.653, 0.649)
O (0.001, 0.596, 0.859)
O (0.000, 0.750, 0.016)
Ge (0.214, 0.472, 0.156)
Ge (0.714, 0.528, 0.344)
Ge (0.285, 0.249, 0.441)
Ge (0.783, 0.967, 0.840)
Ge (0.500, 0.750, 0.913)
Ge (0.217, 0.533, 0.840)
Ge (0.215, 0.249, 0.941)
Ge (0.285, 0.749, 0.559)
Ge (0.000, 0.750, 0.413)
Ge (0.715, 0.251, 0.441)
Ge (0.286, 0.972, 0.344)
Ge (0.717, 0.467, 0.660)
Ge (0.214, 0.972, 0.844)
Ge (0.283, 0.033, 0.660)
Ge (0.717, 0.967, 0.340)
Ge (0.000, 0.250, 0.587)
Ge (0.215, 0.749, 0.059)
Ge (0.783, 0.467, 0.160)
Ge (0.715, 0.751, 0.559)
Ge (0.785, 0.251, 0.941)
Ge (0.286, 0.472, 0.656)
Ge (0.283, 0.533, 0.340)
Ge (0.714, 0.028, 0.656)
Ge (0.786, 0.028, 0.156)
Ge (0.500, 0.250, 0.087)
Ge (0.785, 0.751, 0.059)
Ge (0.786, 0.528, 0.844)
Ge (0.217, 0.033, 0.160)
Li (0.000, 0.500, 0.500)
Li (0.000, 0.250, 0.760)
Li (0.500, 0.250, 0.260)
Li (0.000, 0.000, 0.500)
Li (0.500, 0.500, 0.000)
Li (0.500, 0.000, 0.000)
Li (0.500, 0.750, 0.740)
Li (0.000, 0.750, 0.240)

***

# 2
An optimized crystal structure of Li2PmGe, computed with r2SCAN.

Calculated values
- M_tot (μB/f.u.) = 0.0
- symmetry = Fm-3m
- electronic total energy (eV per atom) = -12.48
- DFT formation energy (meV/atom) = -436.1

Cell: 4.640 4.640 4.640 Å, 60.00 60.00 60.00°
Positions (direct):
Pm (0.750, 0.750, 0.750)
Ge (0.250, 0.250, 0.250)
Li (0.500, 0.500, 0.500)
Li (0.000, 0.000, 0.000)

***

# 3
An optimized crystal structure of LiPrGe2, computed with r2SCAN.

Calculated values
- M_tot (μB/f.u.) = 0.0
- symmetry = Pnma
- electronic total energy (eV per atom) = -15.64
- DFT formation energy (meV/atom) = -754.7

Cell: 7.862 3.967 10.741 Å, 90.00 90.00 90.00°
Positions (direct):
Li (0.492, 0.250, 0.890)
Li (0.992, 0.250, 0.610)
Li (0.508, 0.750, 0.110)
Li (0.008, 0.750, 0.390)
Pr (0.139, 0.250, 0.135)
Pr (0.361, 0.750, 0.635)
Pr (0.639, 0.250, 0.365)
Pr (0.861, 0.750, 0.865)
Ge (0.658, 0.250, 0.683)
Ge (0.842, 0.750, 0.183)
Ge (0.221, 0.250, 0.431)
Ge (0.342, 0.750, 0.317)
Ge (0.721, 0.250, 0.069)
Ge (0.279, 0.750, 0.931)
Ge (0.779, 0.750, 0.569)
Ge (0.158, 0.250, 0.817)

***

# 4
An optimized crystal structure of Li2Sm2Ge3, computed with r2SCAN.

Calculated values
- M_tot (μB/f.u.) = 0.0
- symmetry = Cmcm
- electronic total energy (eV per atom) = -15.92
- DFT formation energy (meV/atom) = -794.8

Cell: 4.379 6.867 9.516 Å, 90.00 103.30 90.00°
Positions (direct):
Li (0.808, 0.061, 0.617)
Li (0.192, 0.561, 0.383)
Li (0.192, 0.939, 0.383)
Li (0.808, 0.439, 0.617)
Ge (0.280, 0.250, 0.559)
Ge (0.062, 0.433, 0.124)
Ge (0.938, 0.567, 0.876)
Ge (0.062, 0.067, 0.124)
Ge (0.938, 0.933, 0.876)
Ge (0.720, 0.750, 0.441)
Sm (0.657, 0.250, 0.315)
Sm (0.553, 0.750, 0.106)
Sm (0.343, 0.750, 0.685)
Sm (0.447, 0.250, 0.894)

***

# 5
An optimized crystal structure of LiSmGe2, computed with r2SCAN.

Calculated values
- M_tot (μB/f.u.) = 0.0
- symmetry = Pnma
- electronic total energy (eV per atom) = -15.71
- DFT formation energy (meV/atom) = -744.3

Cell: 3.911 7.804 10.549 Å, 90.00 90.00 90.00°
Positions (direct):
Ge (0.750, 0.274, 0.434)
Ge (0.750, 0.846, 0.685)
Ge (0.750, 0.774, 0.066)
Ge (0.250, 0.154, 0.315)
Ge (0.250, 0.726, 0.566)
Ge (0.250, 0.226, 0.934)
Ge (0.250, 0.654, 0.185)
Ge (0.750, 0.346, 0.815)
Sm (0.750, 0.361, 0.136)
Sm (0.750, 0.861, 0.364)
Sm (0.250, 0.639, 0.864)
Sm (0.250, 0.139, 0.636)
Li (0.250, 0.986, 0.109)
Li (0.750, 0.514, 0.609)
Li (0.750, 0.014, 0.891)
Li (0.250, 0.486, 0.391)

***

# 6
An optimized crystal structure of Sr2LiGe3, computed with r2SCAN.

Calculated values
- M_tot (μB/f.u.) = 0.0
- symmetry = Fmmm
- electronic total energy (eV per atom) = -13.02
- DFT formation energy (meV/atom) = -637.9

Cell: 8.785 8.656 6.329 Å, 69.81 67.64 42.54°
Positions (direct):
Sr (0.758, 0.242, 0.758)
Sr (0.750, 0.750, 0.750)
Sr (0.242, 0.758, 0.242)
Sr (0.250, 0.250, 0.250)
Ge (0.832, 0.333, 0.168)
Ge (0.166, 0.166, 0.834)
Ge (0.168, 0.667, 0.832)
Ge (0.333, 0.832, 0.667)
Ge (0.834, 0.834, 0.166)
Ge (0.667, 0.168, 0.333)
Li (0.666, 0.666, 0.334)
Li (0.334, 0.334, 0.666)

***

# 7
An optimized crystal structure of LiTmGe, computed with r2SCAN.

Calculated values
- M_tot (μB/f.u.) = 0.0
- symmetry = P-62m
- electronic total energy (eV per atom) = -17.94
- DFT formation energy (meV/atom) = -809.7

Cell: 6.937 6.937 4.183 Å, 90.00 90.00 120.00°
Positions (direct):
Li (0.231, 0.000, 0.500)
Li (0.769, 0.769, 0.500)
Li (0.000, 0.231, 0.500)
Ge (0.667, 0.333, 0.500)
Ge (0.000, 0.000, 0.000)
Ge (0.333, 0.667, 0.500)
Tm (0.000, 0.575, 0.000)
Tm (0.575, 0.000, 0.000)
Tm (0.425, 0.425, 0.000)

***

# 8
An optimized crystal structure of Li2YbGe, computed with r2SCAN.

Calculated values
- M_tot (μB/f.u.) = 0.0
- symmetry = Fm-3m
- electronic total energy (eV per atom) = -14.12
- DFT formation energy (meV/atom) = -323.6

Cell: 4.504 4.504 4.504 Å, 60.00 60.00 60.00°
Positions (direct):
Li (0.250, 0.250, 0.250)
Li (0.750, 0.750, 0.750)
Yb (0.000, 0.000, 0.000)
Ge (0.500, 0.500, 0.500)

***

# 9
An optimized crystal structure of Li8Zn2Ge3, computed with r2SCAN.

Calculated values
- M_tot (μB/f.u.) = 0.0
- symmetry = R3c
- electronic total energy (eV per atom) = -6.44
- DFT formation energy (meV/atom) = -399.2

Cell: 9.149 9.149 9.149 Å, 48.21 48.21 48.21°
Positions (direct):
Li (0.706, 0.057, 0.409)
Li (0.057, 0.409, 0.706)
Li (0.799, 0.456, 0.093)
Li (0.956, 0.299, 0.593)
Li (0.299, 0.593, 0.956)
Li (0.909, 0.557, 0.206)
Li (0.557, 0.206, 0.909)
Li (0.057, 0.057, 0.057)
Li (0.957, 0.957, 0.957)
Li (0.457, 0.457, 0.457)
Li (0.093, 0.799, 0.456)
Li (0.409, 0.706, 0.057)
Li (0.557, 0.557, 0.557)
Li (0.593, 0.956, 0.299)
Li (0.206, 0.909, 0.557)
Li (0.456, 0.093, 0.799)
Ge (0.003, 0.679, 0.330)
Ge (0.330, 0.003, 0.679)
Ge (0.503, 0.830, 0.179)
Ge (0.179, 0.503, 0.830)
Ge (0.830, 0.179, 0.503)
Ge (0.679, 0.330, 0.003)
Zn (0.337, 0.337, 0.337)
Zn (0.674, 0.674, 0.674)
Zn (0.174, 0.174, 0.174)
Zn (0.837, 0.837, 0.837)

***

# 10
An optimized crystal structure of LuGe2, computed with r2SCAN.

Calculated values
- M_tot (μB/f.u.) = 0.0
- symmetry = Cmcm
- electronic total energy (eV per atom) = -22.55
- DFT formation energy (meV/atom) = -608.6

Cell: 8.208 8.208 3.838 Å, 90.00 90.00 27.66°
Positions (direct):
Lu (0.106, 0.106, 0.250)
Lu (0.894, 0.894, 0.750)
Ge (0.449, 0.449, 0.250)
Ge (0.745, 0.745, 0.250)
Ge (0.255, 0.255, 0.750)
Ge (0.551, 0.551, 0.750)

***

# 11
An optimized crystal structure of Lu3Ge4, computed with r2SCAN.

Calculated values
- M_tot (μB/f.u.) = 0.0
- symmetry = Cmcm
- electronic total energy (eV per atom) = -25.04
- DFT formation energy (meV/atom) = -794.7

Cell: 3.962 5.568 13.992 Å, 90.00 90.00 110.84°
Positions (direct):
Lu (0.051, 0.102, 0.250)
Lu (0.333, 0.665, 0.403)
Lu (0.333, 0.665, 0.097)
Lu (0.667, 0.335, 0.597)
Lu (0.949, 0.898, 0.750)
Lu (0.667, 0.335, 0.903)
Ge (0.377, 0.755, 0.609)
Ge (0.377, 0.755, 0.891)
Ge (0.219, 0.438, 0.750)
Ge (0.623, 0.245, 0.109)
Ge (0.000, 0.000, 0.000)
Ge (0.000, 0.000, 0.500)
Ge (0.781, 0.562, 0.250)
Ge (0.623, 0.245, 0.391)

***

# 12
An optimized crystal structure of Lu2MgGe2, computed with r2SCAN.

Calculated values
- M_tot (μB/f.u.) = 0.0
- symmetry = P4/mbm
- electronic total energy (eV per atom) = -22.43
- DFT formation energy (meV/atom) = -812.0

Cell: 7.103 7.103 4.132 Å, 90.00 90.00 90.00°
Positions (direct):
Mg (0.000, 0.000, 0.000)
Mg (0.500, 0.500, 0.000)
Ge (0.125, 0.375, 0.000)
Ge (0.875, 0.625, 0.000)
Ge (0.375, 0.875, 0.000)
Ge (0.625, 0.125, 0.000)
Lu (0.823, 0.323, 0.500)
Lu (0.177, 0.677, 0.500)
Lu (0.677, 0.823, 0.500)
Lu (0.323, 0.177, 0.500)